# Li2MnF4 (PBE with a Hubbard U, optimized geometry)
# Energy above the most stable polymorph in this dataset = 21.1 meV/atom
# Final energy = -5.48 eV per atom
# SG = Pbam
# Formation energy from the elements = -3.04 eV/atom
data_Li2MnF4
_chemical_formula_sum 'Li4 Mn2 F8'
_cell_length_a 3.1470
_cell_length_b 5.0497
_cell_length_c 10.0988
_cell_angle_alpha 90.00
_cell_angle_beta 90.00
_cell_angle_gamma 90.00
_symmetry_space_group_name_H-M 'P 1'
_symmetry_Int_Tables_number 1
_symmetry_space_group_name_Hall 'P 1'
loop_
_atom_site_label
_atom_site_type_symbol
_atom_site_fract_x
_atom_site_fract_y
_atom_site_fract_z
F1 F 0.0000 0.7569 0.8269
F2 F 0.5000 0.2183 0.9018
F3 F 0.5000 0.7183 0.5982
F4 F 0.0000 0.2569 0.6731
F5 F 0.0000 0.7431 0.3269
F6 F 0.5000 0.7817 0.0982
F7 F 0.5000 0.2817 0.4018
F8 F 0.0000 0.2431 0.1731
Mn1 Mn 0.0000 0.5000 0.5000
Mn2 Mn 0.0000 0.0000 0.0000
Li1 Li 0.5000 0.0297 0.7088
Li2 Li 0.5000 0.9703 0.2912
Li3 Li 0.5000 0.4703 0.2088
Li4 Li 0.5000 0.5297 0.7912

# LiVF4 (PBE with a Hubbard U, optimized geometry)
# Energy above the most stable polymorph in this dataset = 76.3 meV/atom
# Final energy = -5.66 eV per atom
# SG = P2_1/c
# Formation energy from the elements = -3.14 eV/atom
data_LiVF4
_chemical_formula_sum 'Li4 V4 F16'
_cell_length_a 5.9852
_cell_length_b 5.2710
_cell_length_c 10.8327
_cell_angle_alpha 67.42
_cell_angle_beta 90.00
_cell_angle_gamma 90.00
_symmetry_space_group_name_H-M 'P 1'
_symmetry_Int_Tables_number 1
_symmetry_space_group_name_Hall 'P 1'
loop_
_atom_site_label
_atom_site_type_symbol
_atom_site_fract_x
_atom_site_fract_y
_atom_site_fract_z
V1 V 0.6544 0.2369 0.0049
V2 V 0.3456 0.7631 0.9951
V3 V 0.1544 0.7631 0.4951
V4 V 0.8456 0.2369 0.5049
F1 F 0.9177 0.0448 0.3877
F2 F 0.4177 0.9552 0.1123
F3 F 0.1322 0.9982 0.8838
F4 F 0.8505 0.4803 0.8652
F5 F 0.9092 0.4720 0.6103
F6 F 0.0908 0.5280 0.3897
F7 F 0.0823 0.9552 0.6123
F8 F 0.6495 0.4803 0.3652
F9 F 0.3678 0.9982 0.3838
F10 F 0.6322 0.0018 0.6162
F11 F 0.4092 0.5280 0.8897
F12 F 0.3505 0.5197 0.6348
F13 F 0.1495 0.5197 0.1348
F14 F 0.8678 0.0018 0.1162
F15 F 0.5908 0.4720 0.1103
F16 F 0.5823 0.0448 0.8877
Li1 Li 0.6073 0.6215 0.7162
Li2 Li 0.8927 0.6215 0.2162
Li3 Li 0.3927 0.3785 0.2838
Li4 Li 0.1073 0.3785 0.7838

# KLaDyMnO6 (PBE with a Hubbard U, optimized geometry)
# Final energy = -7.06 eV per atom
# SG = F-43m
# Formation energy from the elements = -2.69 eV/atom
data_KLaDyMnO6
_chemical_formula_sum 'K1 La1 Dy1 Mn1 O6'
_cell_length_a 5.7960
_cell_length_b 5.7960
_cell_length_c 5.7960
_cell_angle_alpha 60.00
_cell_angle_beta 60.00
_cell_angle_gamma 60.00
_symmetry_space_group_name_H-M 'P 1'
_symmetry_Int_Tables_number 1
_symmetry_space_group_name_Hall 'P 1'
loop_
_atom_site_label
_atom_site_type_symbol
_atom_site_fract_x
_atom_site_fract_y
_atom_site_fract_z
Mn1 Mn 0.5000 0.5000 0.5000
K1 K 0.2500 0.2500 0.2500
O1 O 0.2676 0.7324 0.2676
O2 O 0.7324 0.7324 0.2676
O3 O 0.2676 0.7324 0.7324
O4 O 0.2676 0.2676 0.7324
O5 O 0.7324 0.2676 0.7324
O6 O 0.7324 0.2676 0.2676
La1 La 0.7500 0.7500 0.7500
Dy1 Dy 0.0000 0.0000 0.0000

# MnV2Pb2O8 (PBE with a Hubbard U, optimized geometry)
# Final energy = -7.00 eV per atom
# SG = P2_1
# Formation energy from the elements = -2.09 eV/atom
data_MnV2Pb2O8
_chemical_formula_sum 'Mn2 V4 Pb4 O16'
_cell_length_a 6.6376
_cell_length_b 7.4890
_cell_length_c 9.1301
_cell_angle_alpha 112.52
_cell_angle_beta 90.00
_cell_angle_gamma 90.00
_symmetry_space_group_name_H-M 'P 1'
_symmetry_Int_Tables_number 1
_symmetry_space_group_name_Hall 'P 1'
loop_
_atom_site_label
_atom_site_type_symbol
_atom_site_fract_x
_atom_site_fract_y
_atom_site_fract_z
Mn1 Mn 0.4999 0.0003 0.9998
Mn2 Mn 0.9994 0.9995 0.0001
Pb1 Pb 0.2504 0.3519 0.4764
Pb2 Pb 0.7504 0.6481 0.5236
Pb3 Pb 0.7500 0.2644 0.7387
Pb4 Pb 0.2500 0.7353 0.2612
O1 O 0.4726 0.0123 0.7808
O2 O 0.7500 0.5442 0.0135
O3 O 0.2501 0.4560 0.9865
O4 O 0.2499 0.8130 0.9531
O5 O 0.7498 0.1871 0.0469
O6 O 0.9725 0.9877 0.2192
O7 O 0.4573 0.4761 0.7175
O8 O 0.9573 0.5240 0.2824
O9 O 0.2498 0.7117 0.5408
O10 O 0.0428 0.4759 0.7175
O11 O 0.2501 0.0700 0.5347
O12 O 0.7498 0.2884 0.4593
O13 O 0.5277 0.9877 0.2189
O14 O 0.0276 0.0124 0.7811
O15 O 0.7500 0.9301 0.4654
O16 O 0.5427 0.5241 0.2826
V1 V 0.7499 0.4456 0.1520
V2 V 0.2499 0.9545 0.6656
V3 V 0.2500 0.5545 0.8480
V4 V 0.7499 0.0455 0.3344

# Nd2MnCrO6 (PBE with a Hubbard U, optimized geometry)
# Final energy = -8.06 eV per atom
# SG = P2_1/c
# Formation energy from the elements = -3.03 eV/atom
data_Nd2MnCrO6
_chemical_formula_sum 'Nd4 Mn2 Cr2 O12'
_cell_length_a 5.7753
_cell_length_b 5.5367
_cell_length_c 9.4074
_cell_angle_alpha 54.37
_cell_angle_beta 90.00
_cell_angle_gamma 90.00
_symmetry_space_group_name_H-M 'P 1'
_symmetry_Int_Tables_number 1
_symmetry_space_group_name_Hall 'P 1'
loop_
_atom_site_label
_atom_site_type_symbol
_atom_site_fract_x
_atom_site_fract_y
_atom_site_fract_z
Cr1 Cr 0.0000 0.5000 0.0000
Cr2 Cr 0.5000 0.5000 0.5000
Mn1 Mn 0.5000 0.0000 0.0000
Mn2 Mn 0.0000 0.0000 0.5000
O1 O 0.4721 0.1500 0.7560
O2 O 0.6950 0.2576 0.4501
O3 O 0.7049 0.6519 0.0470
O4 O 0.3050 0.7424 0.5499
O5 O 0.9721 0.8500 0.7440
O6 O 0.1950 0.7424 0.0499
O7 O 0.0279 0.1500 0.2560
O8 O 0.7951 0.6519 0.5470
O9 O 0.8050 0.2576 0.9501
O10 O 0.2951 0.3481 0.9530
O11 O 0.2049 0.3481 0.4530
O12 O 0.5279 0.8500 0.2440
Nd1 Nd 0.5606 0.7353 0.7502
Nd2 Nd 0.4394 0.2647 0.2498
Nd3 Nd 0.0606 0.2647 0.7498
Nd4 Nd 0.9394 0.7353 0.2502

# MnO3 (PBE with a Hubbard U, optimized geometry)
# Final energy = -6.34 eV per atom
# SG = Imma
# Formation energy from the elements = -0.87 eV/atom
data_MnO3
_chemical_formula_sum 'Mn2 O6'
_cell_length_a 4.9732
_cell_length_b 4.9732
_cell_length_c 4.9732
_cell_angle_alpha 116.79
_cell_angle_beta 110.22
_cell_angle_gamma 101.75
_symmetry_space_group_name_H-M 'P 1'
_symmetry_Int_Tables_number 1
_symmetry_space_group_name_Hall 'P 1'
loop_
_atom_site_label
_atom_site_type_symbol
_atom_site_fract_x
_atom_site_fract_y
_atom_site_fract_z
O1 O 0.3907 0.8907 0.0000
O2 O 0.7500 0.5660 0.8160
O3 O 0.2500 0.4340 0.1840
O4 O 0.6093 0.1093 0.0000
O5 O 0.1093 0.1093 0.5000
O6 O 0.8907 0.8907 0.5000
Mn1 Mn 0.5000 0.5000 0.0000
Mn2 Mn 0.0000 0.0000 0.0000

# Mg6VZnO8 (PBE with a Hubbard U, optimized geometry)
# Final energy = -6.02 eV per atom
# SG = P4/mmm
# Formation energy from the elements = -2.75 eV/atom
data_Mg6VZnO8
_chemical_formula_sum 'Mg6 V1 Zn1 O8'
_cell_length_a 8.5826
_cell_length_b 4.2954
_cell_length_c 4.2954
_cell_angle_alpha 90.00
_cell_angle_beta 90.00
_cell_angle_gamma 90.00
_symmetry_space_group_name_H-M 'P 1'
_symmetry_Int_Tables_number 1
_symmetry_space_group_name_Hall 'P 1'
loop_
_atom_site_label
_atom_site_type_symbol
_atom_site_fract_x
_atom_site_fract_y
_atom_site_fract_z
O1 O 0.2478 0.0000 0.0000
O2 O 0.7500 0.5000 0.5000
O3 O 0.0000 0.0000 0.5000
O4 O 0.5000 0.0000 0.5000
O5 O 0.0000 0.5000 0.0000
O6 O 0.7522 0.0000 0.0000
O7 O 0.5000 0.5000 0.0000
O8 O 0.2500 0.5000 0.5000
Mg1 Mg 0.7509 0.0000 0.5000
Mg2 Mg 0.2491 0.5000 0.0000
Mg3 Mg 0.0000 0.5000 0.5000
Mg4 Mg 0.5000 0.5000 0.5000
Mg5 Mg 0.7509 0.5000 0.0000
Mg6 Mg 0.2491 0.0000 0.5000
Zn1 Zn 0.0000 0.0000 0.0000
V1 V 0.5000 0.0000 0.0000

# NpFeO3F6 (PBE with a Hubbard U, optimized geometry)
# Final energy = -5.92 eV per atom
# SG = C2/c
# Formation energy from the elements = -2.22 eV/atom
data_NpFeO3F6
_chemical_formula_sum 'Np2 Fe2 O6 F12'
_cell_length_a 6.6760
_cell_length_b 6.6760
_cell_length_c 8.9702
_cell_angle_alpha 79.83
_cell_angle_beta 79.83
_cell_angle_gamma 63.25
_symmetry_space_group_name_H-M 'P 1'
_symmetry_Int_Tables_number 1
_symmetry_space_group_name_Hall 'P 1'
loop_
_atom_site_label
_atom_site_type_symbol
_atom_site_fract_x
_atom_site_fract_y
_atom_site_fract_z
O1 O 0.6303 0.3697 0.7500
O2 O 0.2789 0.3654 0.9964
O3 O 0.3697 0.6303 0.2500
O4 O 0.7211 0.6346 0.0036
O5 O 0.6346 0.7211 0.5036
O6 O 0.3654 0.2789 0.4964
F1 F 0.7595 0.0316 0.3203
F2 F 0.7803 0.0794 0.9766
F3 F 0.0149 0.3204 0.8285
F4 F 0.9206 0.2197 0.5234
F5 F 0.3204 0.0149 0.3285
F6 F 0.2405 0.9684 0.6797
F7 F 0.9851 0.6796 0.1715
F8 F 0.0316 0.7595 0.8203
F9 F 0.9684 0.2405 0.1797
F10 F 0.6796 0.9851 0.6715
F11 F 0.0794 0.7803 0.4766
F12 F 0.2197 0.9206 0.0234
Fe1 Fe 0.0000 0.5000 0.0000
Fe2 Fe 0.5000 0.0000 0.5000
Np1 Np 0.1119 0.8881 0.2500
Np2 Np 0.8881 0.1119 0.7500

# Li2CoNi2O6 (PBE with a Hubbard U, optimized geometry)
# Final energy = -5.11 eV per atom
# SG = Aea2
# Formation energy from the elements = -1.35 eV/atom
data_Li2CoNi2O6
_chemical_formula_sum 'Li4 Co2 Ni4 O12'
_cell_length_a 4.8500
_cell_length_b 4.8500
_cell_length_c 9.8721
_cell_angle_alpha 90.00
_cell_angle_beta 90.00
_cell_angle_gamma 118.49
_symmetry_space_group_name_H-M 'P 1'
_symmetry_Int_Tables_number 1
_symmetry_space_group_name_Hall 'P 1'
loop_
_atom_site_label
_atom_site_type_symbol
_atom_site_fract_x
_atom_site_fract_y
_atom_site_fract_z
Li1 Li 0.8551 0.3537 0.7494
Li2 Li 0.6463 0.1449 0.2506
Li3 Li 0.1463 0.6449 0.2494
Li4 Li 0.3551 0.8537 0.7506
O1 O 0.1832 0.5291 0.6072
O2 O 0.8385 0.5030 0.3997
O3 O 0.6704 0.6711 0.0967
O4 O 0.3289 0.3296 0.9033
O5 O 0.1704 0.1711 0.4033
O6 O 0.4970 0.1615 0.6003
O7 O 0.8289 0.8296 0.5967
O8 O 0.9709 0.3168 0.1072
O9 O 0.4709 0.8168 0.3928
O10 O 0.9970 0.6615 0.8997
O11 O 0.6832 0.0291 0.8928
O12 O 0.3385 0.0030 0.1003
Ni1 Ni 0.1640 0.8360 0.5000
Ni2 Ni 0.8354 0.1646 0.5000
Ni3 Ni 0.3354 0.6646 0.0000
Ni4 Ni 0.6640 0.3360 0.0000
Co1 Co 0.4972 0.5028 0.5000
Co2 Co 0.9972 0.0028 0.0000

# Mn3ZnP3O13 (PBE with a Hubbard U, optimized geometry)
# Final energy = -7.10 eV per atom
# SG = P2_1/m
# Formation energy from the elements = -2.34 eV/atom
data_Mn3ZnP3O13
_chemical_formula_sum 'Mn6 Zn2 P6 O26'
_cell_length_a 6.1668
_cell_length_b 7.7631
_cell_length_c 10.3288
_cell_angle_alpha 80.01
_cell_angle_beta 90.00
_cell_angle_gamma 90.00
_symmetry_space_group_name_H-M 'P 1'
_symmetry_Int_Tables_number 1
_symmetry_space_group_name_Hall 'P 1'
loop_
_atom_site_label
_atom_site_type_symbol
_atom_site_fract_x
_atom_site_fract_y
_atom_site_fract_z
P1 P 0.2500 0.3247 0.1172
P2 P 0.7500 0.2096 0.5081
P3 P 0.2500 0.7904 0.4919
P4 P 0.7500 0.6753 0.8828
P5 P 0.2500 0.2657 0.7611
P6 P 0.7500 0.7343 0.2389
O1 O 0.9415 0.6161 0.2088
O2 O 0.4431 0.7503 0.5911
O3 O 0.0585 0.3839 0.7912
O4 O 0.7500 0.4933 0.9714
O5 O 0.7500 0.9042 0.1318
O6 O 0.0358 0.2212 0.1044
O7 O 0.2500 0.0958 0.8682
O8 O 0.2500 0.5067 0.0286
O9 O 0.7500 0.1168 0.9063
O10 O 0.0569 0.7503 0.5911
O11 O 0.7500 0.0249 0.5865
O12 O 0.9642 0.7788 0.8956
O13 O 0.2500 0.6546 0.3988
O14 O 0.9431 0.2497 0.4089
O15 O 0.4415 0.3839 0.7912
O16 O 0.7500 0.7802 0.3748
O17 O 0.2500 0.8832 0.0937
O18 O 0.7500 0.6232 0.7438
O19 O 0.5585 0.6161 0.2088
O20 O 0.5358 0.7788 0.8956
O21 O 0.7500 0.3454 0.6012
O22 O 0.4642 0.2212 0.1044
O23 O 0.5569 0.2497 0.4089
O24 O 0.2500 0.2198 0.6252
O25 O 0.2500 0.3768 0.2562
O26 O 0.2500 0.9751 0.4135
Mn1 Mn 0.7500 0.7722 0.5683
Mn2 Mn 0.5000 0.0000 0.0000
Mn3 Mn 0.0000 0.0000 0.0000
Mn4 Mn 0.2500 0.2278 0.4317
Mn5 Mn 0.2500 0.6512 0.2105
Mn6 Mn 0.7500 0.3488 0.7895
Zn1 Zn 0.7500 0.3657 0.1572
Zn2 Zn 0.2500 0.6343 0.8428

# FeF2 (PBE with a Hubbard U, optimized geometry)
# Final energy = -5.63 eV per atom
# SG = P4_2/mnm
# Formation energy from the elements = -2.59 eV/atom
data_FeF2
_chemical_formula_sum 'Fe2 F4'
_cell_length_a 3.3327
_cell_length_b 4.7950
_cell_length_c 4.7949
_cell_angle_alpha 90.00
_cell_angle_beta 90.00
_cell_angle_gamma 90.00
_symmetry_space_group_name_H-M 'P 1'
_symmetry_Int_Tables_number 1
_symmetry_space_group_name_Hall 'P 1'
loop_
_atom_site_label
_atom_site_type_symbol
_atom_site_fract_x
_atom_site_fract_y
_atom_site_fract_z
F1 F 0.5000 0.1990 0.8010
F2 F 0.0000 0.3010 0.3010
F3 F 0.0000 0.6990 0.6990
F4 F 0.5000 0.8010 0.1990
Fe1 Fe 0.5000 0.5000 0.5000
Fe2 Fe 0.0000 0.0000 0.0000

# Sr6MgW4O18 (PBE with a Hubbard U, optimized geometry)
# Energy above the most stable polymorph in this dataset = 23.6 meV/atom
# Final energy = -6.99 eV per atom
# SG = P1
# Formation energy from the elements = -2.76 eV/atom
data_Sr6MgW4O18
_chemical_formula_sum 'Sr6 Mg1 W4 O18'
_cell_length_a 7.4952
_cell_length_b 8.8963
_cell_length_c 7.2523
_cell_angle_alpha 79.97
_cell_angle_beta 81.27
_cell_angle_gamma 77.88
_symmetry_space_group_name_H-M 'P 1'
_symmetry_Int_Tables_number 1
_symmetry_space_group_name_Hall 'P 1'
loop_
_atom_site_label
_atom_site_type_symbol
_atom_site_fract_x
_atom_site_fract_y
_atom_site_fract_z
Sr1 Sr 0.9887 0.6502 0.2583
Sr2 Sr 0.6539 0.9979 0.3599
Sr3 Sr 0.4703 0.7104 0.1323
Sr4 Sr 0.2204 0.0089 0.7331
Sr5 Sr 0.1565 0.4801 0.7870
Sr6 Sr 0.7212 0.2837 0.9374
Mg1 Mg 0.7361 0.3268 0.3919
O1 O 0.4765 0.5273 0.7882
O2 O 0.2110 0.9428 0.1350
O3 O 0.2370 0.5219 0.4332
O4 O 0.0756 0.7610 0.8612
O5 O 0.5666 0.4336 0.2016
O6 O 0.8408 0.0405 0.7466
O7 O 0.1853 0.1730 0.4295
O8 O 0.4332 0.1788 0.1387
O9 O 0.8519 0.7828 0.5567
O10 O 0.5129 0.7568 0.4540
O11 O 0.7451 0.8377 0.0830
O12 O 0.8756 0.1735 0.2336
O13 O 0.5218 0.2267 0.5124
O14 O 0.0878 0.2231 0.8935
O15 O 0.8009 0.5933 0.8609
O16 O 0.1384 0.4025 0.1477
O17 O 0.5556 0.8377 0.7861
O18 O 0.7931 0.4887 0.5153
W1 W 0.6392 0.6421 0.6496
W2 W 0.1477 0.1536 0.1596
W3 W 0.8299 0.8365 0.8230
W4 W 0.3483 0.3386 0.3299

# BaSr4Fe5O15 (PBE with a Hubbard U, optimized geometry)
# Energy above the most stable polymorph in this dataset = 0.0 meV/atom
# Final energy = -6.35 eV per atom
# SG = P4/mmm
# Formation energy from the elements = -2.21 eV/atom
data_BaSr4Fe5O15
_chemical_formula_sum 'Ba2 Sr8 Fe10 O30'
_cell_length_a 3.9299
_cell_length_b 3.9299
_cell_length_c 39.4616
_cell_angle_alpha 90.00
_cell_angle_beta 90.00
_cell_angle_gamma 89.99
_symmetry_space_group_name_H-M 'P 1'
_symmetry_Int_Tables_number 1
_symmetry_space_group_name_Hall 'P 1'
loop_
_atom_site_label
_atom_site_type_symbol
_atom_site_fract_x
_atom_site_fract_y
_atom_site_fract_z
O1 O 0.5000 0.0000 0.9966
O2 O 0.5000 0.0000 0.2015
O3 O 0.0000 0.0000 0.6526
O4 O 0.5000 0.0000 0.7014
O5 O 0.0000 0.0000 0.4473
O6 O 0.0000 0.5000 0.8000
O7 O 0.0000 0.5000 0.3985
O8 O 0.5000 0.0000 0.3985
O9 O 0.5000 0.0000 0.8986
O10 O 0.0000 0.5000 0.6034
O11 O 0.0000 0.5000 0.1035
O12 O 0.0000 0.0000 0.5499
O13 O 0.0000 0.0000 0.1527
O14 O 0.0000 0.5000 0.3000
O15 O 0.0000 0.0000 0.8497
O16 O 0.0000 0.0000 0.3496
O17 O 0.0000 0.5000 0.8986
O18 O 0.0000 0.5000 0.9966
O19 O 0.0000 0.0000 0.0501
O20 O 0.0000 0.0000 0.2503
O21 O 0.5000 0.0000 0.8000
O22 O 0.0000 0.5000 0.2015
O23 O 0.5000 0.0000 0.4965
O24 O 0.5000 0.0000 0.1035
O25 O 0.0000 0.5000 0.4965
O26 O 0.0000 0.5000 0.7014
O27 O 0.0000 0.0000 0.7503
O28 O 0.5000 0.0000 0.6034
O29 O 0.5000 0.0000 0.3000
O30 O 0.0000 0.0000 0.9473
Fe1 Fe 0.0000 0.0000 0.2010
Fe2 Fe 0.0000 0.0000 0.1013
Fe3 Fe 0.0000 0.0000 0.7009
Fe4 Fe 0.0000 0.0000 0.8000
Fe5 Fe 0.0000 0.0000 0.8991
Fe6 Fe 0.0000 0.0000 0.3000
Fe7 Fe 0.0000 0.0000 0.3990
Fe8 Fe 0.0000 0.0000 0.9987
Fe9 Fe 0.0000 0.0000 0.6012
Fe10 Fe 0.0000 0.0000 0.4986
Sr1 Sr 0.5000 0.5000 0.4486
Sr2 Sr 0.5000 0.5000 0.9487
Sr3 Sr 0.5000 0.5000 0.7504
Sr4 Sr 0.5000 0.5000 0.6514
Sr5 Sr 0.5000 0.5000 0.2505
Sr6 Sr 0.5000 0.5000 0.8496
Sr7 Sr 0.5000 0.5000 0.1515
Sr8 Sr 0.5000 0.5000 0.3496
Ba1 Ba 0.5000 0.5000 0.5499
Ba2 Ba 0.5000 0.5000 0.0500